## CrO2 (PBE+U)

Data for a geometry-optimized CrO2 structure.

Cell: 2.929 9.468 9.791 Å, 90.00 90.00 90.00°
Space group C222_1 (No. 20)
Inequivalent atoms, fractional coordinates:
Cr: 0.010 0.134 0.426 [8 per cell]
O: 0.000 0.075 0.250 [4 per cell]
O: 0.007 0.238 0.601 [8 per cell]
O: 0.020 0.500 0.000 [4 per cell]

Computed properties:
**E (MP2020)**: -200.6 eV/cell
**E_tot**: -7.24 eV per atom
**Energy of formation from the pure elements**: -1.84 eV/atom